No. 1
# HoCu3S3 (PBE, relaxed)
data_HoCu3S3
_chemical_formula_sum 'Ho2 Cu6 S6'
_cell_length_a 3.8881
_cell_length_b 3.8881
_cell_length_c 19.9741
_cell_angle_alpha 90.00
_cell_angle_beta 90.00
_cell_angle_gamma 120.00
_symmetry_space_group_name_H-M 'P -3 m 1'
_symmetry_Int_Tables_number 164
_symmetry_space_group_name_Hall '-P 3 2"'
loop_
_atom_site_label
_atom_site_type_symbol
_atom_site_fract_x
_atom_site_fract_y
_atom_site_fract_z
Ho1 Ho 0.0000 0.0000 0.1650
Cu1 Cu 0.3333 0.6667 0.0460
Cu2 Cu 0.3333 0.6667 0.4082
Cu3 Cu 0.3333 0.6667 0.7118
S1 S 0.3333 0.6667 0.2419
S2 S 0.3333 0.6667 0.5981
S3 S 0.3333 0.6667 0.9217
# Crystal system: trigonal
# Total magnetic moment in μB/cell: 0.02

No. 2
# HoCu3S3 (PBE, relaxed)
data_HoCu3S3
_chemical_formula_sum 'Ho6 Cu18 S18'
_cell_length_a 6.7134
_cell_length_b 6.7134
_cell_length_c 19.0372
_cell_angle_alpha 90.00
_cell_angle_beta 90.00
_cell_angle_gamma 120.00
_symmetry_space_group_name_H-M 'R -3'
_symmetry_Int_Tables_number 148
_symmetry_space_group_name_Hall '-R 3'
loop_
_atom_site_label
_atom_site_type_symbol
_atom_site_fract_x
_atom_site_fract_y
_atom_site_fract_z
Ho1 Ho 0.0000 0.0000 0.1666
Cu1 Cu 0.0000 0.3354 0.6226
S1 S 0.0000 0.3327 0.7504
# Crystal system: trigonal

No. 3
# Ho3Cu3Sb4 (PBE, relaxed)
data_Ho3Cu3Sb4
_chemical_formula_sum 'Ho12 Cu12 Sb16'
_cell_length_a 9.5608
_cell_length_b 9.5608
_cell_length_c 9.5608
_cell_angle_alpha 90.00
_cell_angle_beta 90.00
_cell_angle_gamma 90.00
_symmetry_space_group_name_H-M 'I -4 3 d'
_symmetry_Int_Tables_number 220
_symmetry_space_group_name_Hall 'I -4bd 2c 3'
loop_
_atom_site_label
_atom_site_type_symbol
_atom_site_fract_x
_atom_site_fract_y
_atom_site_fract_z
Ho1 Ho 0.0000 0.2500 0.8750
Cu1 Cu 0.0000 0.2500 0.3750
Sb1 Sb 0.0799 0.4201 0.5799
# Crystal system: cubic
# Total magnetic moment in μB/cell: 0.01

No. 4
# HoCuSb2 (PBE, relaxed)
data_HoCuSb2
_chemical_formula_sum 'Ho2 Cu2 Sb4'
_cell_length_a 4.3170
_cell_length_b 4.3170
_cell_length_c 9.7526
_cell_angle_alpha 90.00
_cell_angle_beta 90.00
_cell_angle_gamma 90.00
_symmetry_space_group_name_H-M 'P 4/n m m'
_symmetry_Int_Tables_number 129
loop_
_symmetry_equiv_pos_as_xyz
'x,y,z'
'-x,-y,-z'
'-y+1/2,x,z'
'y+1/2,-x,-z'
'-x+1/2,-y+1/2,z'
'x+1/2,y+1/2,-z'
'y,-x+1/2,z'
'-y,x+1/2,-z'
'x+1/2,-y,-z'
'-x+1/2,y,z'
'-y,-x,-z'
'y,x,z'
'-x,y+1/2,-z'
'x,-y+1/2,z'
'y+1/2,x+1/2,-z'
'-y+1/2,-x+1/2,z'
loop_
_atom_site_label
_atom_site_type_symbol
_atom_site_fract_x
_atom_site_fract_y
_atom_site_fract_z
Ho1 Ho 0.2500 0.2500 0.2497
Cu1 Cu 0.2500 0.7500 0.0000
Sb1 Sb 0.2500 0.2500 0.8370
Sb2 Sb 0.2500 0.7500 0.5000
# Crystal system: tetragonal

No. 5
# Ho3CuSiSe7 (PBE, relaxed)
data_Ho3CuSiSe7
_chemical_formula_sum 'Ho6 Cu2 Si2 Se14'
_cell_length_a 10.3060
_cell_length_b 10.3060
_cell_length_c 6.0334
_cell_angle_alpha 90.00
_cell_angle_beta 90.00
_cell_angle_gamma 120.00
_symmetry_space_group_name_H-M 'P 63'
_symmetry_Int_Tables_number 173
loop_
_symmetry_equiv_pos_as_xyz
'x,y,z'
'x-y,x,z+1/2'
'-y,x-y,z'
'-x,-y,z+1/2'
'-x+y,-x,z'
'y,-x+y,z+1/2'
loop_
_atom_site_label
_atom_site_type_symbol
_atom_site_fract_x
_atom_site_fract_y
_atom_site_fract_z
Ho1 Ho 0.1341 0.3562 0.0000
Cu1 Cu 0.0000 0.0000 0.4482
Si1 Si 0.3333 0.6667 0.5903
Se1 Se 0.0993 0.5779 0.7450
Se2 Se 0.1010 0.2624 0.4651
Se3 Se 0.3333 0.6667 0.2126
# Crystal system: hexagonal
# Total magnetic moment in μB/cell: 0.00

No. 6
# Ho3Cu11Si4 (PBE, relaxed)
data_Ho3Cu11Si4
_chemical_formula_sum 'Ho6 Cu22 Si8'
_cell_length_a 8.4001
_cell_length_b 8.4001
_cell_length_c 8.6112
_cell_angle_alpha 90.00
_cell_angle_beta 90.00
_cell_angle_gamma 120.00
_symmetry_space_group_name_H-M 'P 63/m m c'
_symmetry_Int_Tables_number 194
_symmetry_space_group_name_Hall '-P 6c 2c'
loop_
_atom_site_label
_atom_site_type_symbol
_atom_site_fract_x
_atom_site_fract_y
_atom_site_fract_z
Ho1 Ho 0.1976 0.3952 0.2500
Cu1 Cu 0.1292 0.5646 0.7500
Cu2 Cu 0.1516 0.3031 0.5906
Cu3 Cu 0.3333 0.6667 0.5078
Si1 Si 0.0000 0.0000 0.2500
Si2 Si 0.0000 0.5000 0.0000
# Crystal system: hexagonal
# Total magnetic moment in μB/cell: 0.01

No. 7
# Ho3Cu4Si4 (PBE, relaxed)
data_Ho3Cu4Si4
_chemical_formula_sum 'Ho6 Cu8 Si8'
_cell_length_a 4.1256
_cell_length_b 6.5306
_cell_length_c 13.6580
_cell_angle_alpha 90.00
_cell_angle_beta 90.00
_cell_angle_gamma 90.00
_symmetry_space_group_name_H-M 'I m m m'
_symmetry_Int_Tables_number 71
_symmetry_space_group_name_Hall '-I 2 2'
loop_
_atom_site_label
_atom_site_type_symbol
_atom_site_fract_x
_atom_site_fract_y
_atom_site_fract_z
Ho1 Ho 0.0000 0.0000 0.0000
Ho2 Ho 0.0000 0.5000 0.1293
Cu1 Cu 0.0000 0.3092 0.3313
Si1 Si 0.0000 0.0000 0.2161
Si2 Si 0.0000 0.1847 0.5000
# Crystal system: orthorhombic

No. 8
# HoCu2Si2 (PBE, relaxed)
data_HoCu2Si2
_chemical_formula_sum 'Ho2 Cu4 Si4'
_cell_length_a 3.9554
_cell_length_b 3.9554
_cell_length_c 10.0012
_cell_angle_alpha 90.00
_cell_angle_beta 90.00
_cell_angle_gamma 90.00
_symmetry_space_group_name_H-M 'I 4/m m m'
_symmetry_Int_Tables_number 139
_symmetry_space_group_name_Hall '-I 4 2'
loop_
_atom_site_label
_atom_site_type_symbol
_atom_site_fract_x
_atom_site_fract_y
_atom_site_fract_z
Ho1 Ho 0.0000 0.0000 0.0000
Cu1 Cu 0.0000 0.5000 0.2500
Si1 Si 0.0000 0.0000 0.3830
# Crystal system: tetragonal

Number 1: E_form -0.923 eV/atom, total DFT energy (no corrections) -34.2 eV/f.u.. Number 2: E_form -1.066 eV/atom, total DFT energy (no corrections) -35.2 eV/f.u.. Number 3: E_form -0.784 eV/atom, total DFT energy (no corrections) -49.6 eV/f.u.. Number 4: E_form -0.687 eV/atom, total DFT energy (no corrections) -19.3 eV/f.u.. Number 5: E_form -1.569 eV/atom, total DFT energy (no corrections) -63.3 eV/f.u.. Number 6: E_form -0.313 eV/atom, total DFT energy (no corrections) -86.5 eV/f.u.. Number 7: E_form -0.615 eV/atom, total DFT energy (no corrections) -58.9 eV/f.u.. Number 8: E_form -0.560 eV/atom, total DFT energy (no corrections) -26.6 eV/f.u..